This record from the Materials Project describes crystalline BaSrMgFe4O8 at its relaxed geometry. The functional is PBE+U.

Computed properties:
energy of formation: -2.04 eV/atom
total moment: 18.0 μB per formula unit
energy above the most stable polymorph in this dataset: 0.000 eV/atom
VASP energy: -6.314 eV per atom

Cell lengths 5.729, 5.729, 8.338 Å; angles 93.02, 93.02, 119.91 degrees
Atoms (fractional coordinates):
Ba: 0.000 0.000 0.000
Sr: 0.952 0.952 0.492
Mg: 0.394 0.394 0.364
Fe: 0.341 0.674 0.723
Fe: 0.367 0.747 0.173
Fe: 0.674 0.341 0.723
Fe: 0.747 0.367 0.173
O: 0.000 0.648 0.665
O: 0.066 0.365 0.262
O: 0.346 0.657 0.942
O: 0.365 0.066 0.262
O: 0.392 0.392 0.604
O: 0.648 0.000 0.665
O: 0.657 0.346 0.942
O: 0.680 0.680 0.260